6
Lattice="-2.304 -3.990 0.000 -2.304 3.990 0.000 0.000 0.000 -7.346" Properties=species:S:1:pos:R:3 comment="HoCuPb, relaxed, DFT PBE" total_energy_ev_per_atom=-4.51 delta_e_f_ev_per_atom=-0.38 pbc="T T T"
Cu -2.304 -1.330 -5.038
Pb -2.304 -1.330 -2.088
Pb -2.304 1.330 -5.761
Cu -2.304 1.330 -1.365
Ho 0.000 0.000 -0.114
Ho 0.000 0.000 -3.787

=====

126
Lattice="-5.531 -4.991 5.398 6.296 -4.162 -5.251 14.883 1.527 16.610" Properties=species:S:1:pos:R:3 comment="Na8Hf3MgSi4P2O24, relaxed, DFT PBE" total_energy_ev_per_atom=-7.27 delta_e_f_ev_per_atom=-3.06 pbc="T T T"
P 4.331 -6.081 4.307
O 11.629 -6.993 14.527
O 18.161 -3.534 13.387
Na 3.219 -1.418 -0.258
Si 17.862 -4.285 11.964
O 11.222 -4.320 18.043
O 1.021 -5.169 7.037
O 9.271 -6.678 9.962
Na 2.593 -5.436 10.557
Si 6.890 -1.131 11.531
O 8.045 -4.679 -0.857
P 8.777 -6.489 5.247
O 5.247 -5.147 3.415
Na 12.939 -2.161 6.201
O 16.541 -1.202 14.617
O 7.598 -1.938 12.720
O 9.947 -4.348 8.851
O -0.239 -3.492 1.353
O 13.271 -3.891 16.180
O 8.039 -5.639 4.162
O 10.892 -1.865 7.743
O 18.845 -3.555 10.877
O 1.819 -3.748 3.088
Mg 1.069 -4.440 4.815
O 10.561 -2.918 5.082
O 9.788 -5.166 14.185
O -0.594 -3.392 5.213
O 1.077 -8.155 2.526
P 11.398 -1.531 12.490
O 12.049 -0.530 13.489
O 13.495 -4.875 10.964
O -0.834 -6.420 2.155
Na 11.461 -4.632 12.548
O 15.902 -4.108 15.449
Hf 14.486 -3.217 11.810
O 2.060 -2.633 5.865
O 10.511 -2.461 13.296
O 9.405 -5.495 6.268
O 3.550 -0.655 6.163
Na 10.699 -3.483 15.627
Si 10.190 -2.298 3.606
O 6.418 -3.338 5.340
O 7.872 -0.159 10.609
Na 13.729 -1.523 15.492
P 5.493 -5.293 13.130
O 0.510 -6.342 4.501
Na 5.636 -5.482 -2.044
O 8.270 -2.777 7.128
Mg 8.603 -3.653 13.217
O 11.862 -1.729 17.239
O 4.448 -3.364 -1.304
O 10.622 -0.708 11.408
O 16.256 -4.142 11.640
Na 8.047 -5.257 15.804
Na 9.085 -2.078 9.685
Mg 11.508 -3.643 0.612
Si 1.338 -3.120 1.689
Si 8.998 -5.040 10.018
P 5.622 -0.833 2.676
O 14.556 -2.559 9.815
O 15.293 -2.527 7.323
Hf 8.494 -3.938 -2.789
Na 0.145 -2.897 7.330
O 7.859 -7.425 6.016
Si 6.681 -2.554 6.778
Na 6.439 -5.761 7.132
Na 11.270 -6.434 8.288
O 14.325 -6.145 15.179
Hf 10.077 -3.639 6.897
O 7.369 -4.936 9.668
O 5.688 -3.346 7.840
O 1.379 -1.460 1.645
Si -2.155 -3.345 4.838
O 12.011 -6.993 10.645
Na 1.910 -6.034 1.336
O 8.403 -2.950 15.246
Na 10.013 -2.232 18.827
O 3.731 -5.913 -0.433
Hf 7.035 -3.923 3.544
O 11.297 -2.854 2.571
Hf 13.036 -3.220 18.174
O 3.584 -3.116 9.741
Na 3.749 -3.032 4.162
O 15.141 -1.367 12.354
Na 9.005 -0.843 14.341
Si 15.759 -0.336 13.468
Hf 10.368 -8.131 10.926
Si 7.270 -2.367 16.232
Si 14.350 -4.501 15.116
O 0.354 -5.210 9.442
O 8.628 -2.770 3.303
O 6.927 -4.966 13.471
O 14.627 0.515 14.294
O 4.436 -4.738 14.137
O 7.335 -4.643 1.522
O 6.409 -0.963 6.775
O 5.081 -4.711 11.735
O 5.124 -6.882 5.331
O 3.274 -5.231 5.041
P 2.134 -1.093 5.808
Hf 5.622 -3.986 9.806
O -2.467 -4.113 3.407
O 7.627 -2.956 17.730
O 12.483 -2.310 11.690
Na 14.868 1.516 16.589
Na 4.653 -1.055 8.407
O 12.033 -4.343 7.000
Na 12.491 -6.188 16.968
Na 4.731 -4.202 0.953
O 5.839 -2.409 2.653
Na 13.582 -3.440 3.009
O 4.101 -0.679 2.314
O 6.227 -2.164 10.413
Si 10.035 -6.758 14.176
Hf 13.450 -7.807 14.295
O 3.683 -7.063 3.263
O 4.585 -5.639 9.018
O 2.391 -3.681 0.555
Hf 2.626 -4.411 -1.405
Na 3.310 -4.241 7.272
O 9.332 -4.287 11.390
Si -0.080 -7.288 3.343
Na 2.074 -7.115 6.034
O -3.140 -4.113 5.932
O 13.947 -3.872 13.659
Na 12.336 -3.500 9.394

=====

16
Lattice="5.357 0.000 0.000 0.000 6.822 0.000 0.000 0.000 11.707" Properties=species:S:1:pos:R:3 comment="CsMg6Mn, relaxed, DFT PBE" total_energy_ev_per_atom=-2.00 delta_e_f_ev_per_atom=0.46 e_above_lowest_polymorph_mev_per_atom=10 pbc="T T T"
Cs 2.679 0.000 3.912
Mg 0.000 3.411 7.625
Mg 2.679 5.139 0.954
Mg 2.679 5.094 6.808
Mg 0.000 5.318 10.771
Mg 0.000 4.915 4.918
Mg 0.000 3.411 2.007
Mg 0.000 0.000 7.860
Mg 0.000 1.907 4.918
Cs 2.679 3.411 9.765
Mg 2.679 1.683 0.954
Mg 2.679 1.728 6.808
Mn 2.679 0.000 9.832
Mg 0.000 0.000 1.772
Mg 0.000 1.504 10.771
Mn 2.679 3.411 3.979

=====

20
Lattice="-6.012 0.200 -10.964 -8.541 -4.425 -7.992 -10.363 1.239 -6.890" Properties=species:S:1:pos:R:3 comment="Tb4HfAl15, relaxed, DFT PBE" total_energy_ev_per_atom=-4.63 delta_e_f_ev_per_atom=-0.40 pbc="T T T"
Al -8.188 0.719 -8.927
Al -10.585 -2.528 -12.940
Al -11.510 0.347 -12.380
Tb -9.963 -1.194 -10.335
Tb -14.952 -1.792 -15.511
Al -17.268 -3.206 -19.682
Al -7.276 -2.112 -9.478
Al -13.406 -3.333 -13.466
Hf 0.000 0.000 0.000
Tb -21.653 -2.595 -22.461
Al -6.813 -2.375 -6.670
Al -14.331 -0.458 -12.906
Tb -3.263 -0.391 -3.385
Al -7.648 0.220 -6.164
Al -5.654 -0.256 -8.031
Al -12.794 -2.000 -10.872
Al -12.122 -0.986 -14.974
Al -9.452 -1.593 -7.441
Al -18.103 -0.611 -19.176
Al -19.262 -2.730 -17.815

=====

10
Lattice="3.194 6.351 0.000 -3.194 6.351 0.000 0.000 2.571 7.270" Properties=species:S:1:pos:R:3 comment="Tl2Se3, relaxed, DFT PBE" total_energy_ev_per_atom=-3.25 delta_e_f_ev_per_atom=-0.49 pbc="T T T"
Tl -1.082 7.829 0.257
Se -1.036 4.745 6.872
Se 1.036 10.527 0.397
Se 2.236 6.993 1.817
Se -2.236 8.279 5.452
Se -1.036 11.812 4.032
Tl 1.082 7.443 7.013
Se 1.036 3.459 3.238
Tl 1.082 9.114 3.892
Tl -1.082 6.158 3.378

=====

8
Lattice="2.529 1.972 2.379 -0.150 -3.033 2.673 6.184 -5.085 -2.361" Properties=species:S:1:pos:R:3 comment="TbCoSi2, relaxed, DFT PBE" total_energy_ev_per_atom=-6.44 delta_e_f_ev_per_atom=-0.75 pbc="T T T"
Si 4.954 -1.823 1.271
Co 5.755 -3.839 2.090
Si 1.092 -1.328 1.616
Co 2.809 -2.307 0.601
Si 3.609 -4.323 1.421
Si 7.472 -4.818 1.076
Tb 3.089 -2.320 3.664
Tb 5.474 -3.827 -0.973

=====

24
Lattice="-8.082 4.408 -1.360 -2.352 -5.459 -3.714 -4.220 -6.066 5.414" Properties=species:S:1:pos:R:3 comment="Na3BP2, relaxed, DFT PBE" total_energy_ev_per_atom=-3.91 delta_e_f_ev_per_atom=-0.33 pbc="T T T"
B -3.254 -2.400 0.652
P -6.845 2.583 -0.332
Na -6.336 -7.217 0.670
Na -9.841 -7.316 1.204
B -8.018 -2.377 -2.806
Na -6.256 -2.596 1.337
B -11.399 -4.717 -0.312
Na -8.318 0.101 -0.330
Na -13.428 -5.960 1.219
P -7.838 -5.166 1.904
Na -1.226 -1.156 -0.879
Na -3.320 -4.799 2.449
B -6.636 -4.739 3.145
P -2.679 -3.795 -0.290
Na -4.818 -3.862 -2.137
P -6.111 -6.441 -2.105
Na -11.334 -2.318 -2.109
Na -9.836 -3.255 2.477
P -6.816 -1.951 -1.565
Na -8.398 -4.520 -0.997
P -11.974 -3.321 0.630
P -7.809 -9.699 0.672
Na -4.813 0.200 -0.865
P -8.542 -0.675 2.444

=====

68
Lattice="0.000 8.420 8.420 8.420 0.000 8.420 8.420 8.420 0.000" Properties=species:S:1:pos:R:3 comment="Tm3Cu20Sb11, relaxed, DFT PBE" total_energy_ev_per_atom=-4.29 delta_e_f_ev_per_atom=-0.21 pbc="T T T"
Cu 8.465 10.357 14.904
Cu 12.623 9.435 7.405
Cu 13.494 11.767 13.494
Cu 16.796 14.904 14.904
Sb 4.203 9.994 6.847
Cu 9.435 4.218 9.435
Sb 6.847 6.847 12.638
Cu 4.218 7.405 7.405
Cu 11.767 13.494 13.494
Cu 7.405 9.435 12.623
Cu 8.468 6.496 6.496
Cu 10.357 14.904 8.465
Sb 10.921 10.921 5.919
Sb 5.919 5.919 5.919
Cu 10.344 10.344 8.468
Cu 9.435 12.623 7.405
Cu 6.496 8.373 10.344
Cu 10.357 8.465 14.904
Cu 11.767 11.767 11.767
Tm 4.210 4.210 0.117
Sb 2.516 5.905 5.905
Cu 6.496 6.496 8.468
Cu 6.496 8.468 6.496
Sb 5.905 2.516 5.905
Tm 4.210 4.210 8.304
Cu 9.435 7.405 12.623
Cu 10.344 8.373 6.496
Cu 8.465 14.904 10.357
Tm 8.304 4.210 4.210
Cu 14.904 10.357 8.465
Sb 5.919 10.921 10.921
Sb 5.905 5.905 2.516
Cu 6.496 10.344 8.373
Sb 12.638 9.994 9.994
Cu 10.344 8.468 10.344
Sb 9.994 4.203 6.847
Cu 4.218 9.435 9.435
Sb 4.203 6.847 9.994
Sb 9.994 6.847 4.203
Sb 9.994 12.638 9.994
Cu 16.796 10.357 10.357
Sb 10.921 5.919 10.921
Cu 7.405 12.623 9.435
Cu 10.344 6.496 8.373
Cu 14.904 8.465 10.357
Tm 0.117 4.210 4.210
Cu 9.435 9.435 4.218
Tm 4.210 0.117 4.210
Cu 10.357 16.796 10.357
Cu 14.904 14.904 16.796
Sb 6.847 9.994 4.203
Cu 10.357 10.357 16.796
Cu 8.468 10.344 10.344
Sb 2.516 2.516 2.516
Sb 0.000 0.000 0.000
Cu 12.623 7.405 9.435
Sb 6.847 12.638 6.847
Cu 8.373 6.496 10.344
Cu 13.494 13.494 11.767
Cu 14.904 16.796 14.904
Sb 12.638 6.847 6.847
Sb 6.847 4.203 9.994
Tm 4.210 8.304 4.210
Sb 9.994 9.994 12.638
Cu 7.405 4.218 7.405
Cu 8.373 10.344 6.496
Sb 8.420 8.420 8.420
Cu 7.405 7.405 4.218